Nd3Sn5Au6 | Materials Project | PBE-GGA | relaxed; space group = Pmmn, No. 59; total DFT energy (no corrections) = -0.3283 Ry per atom
1.0
4.617 0.000 0.000
0.000 10.369 0.000
0.000 0.000 13.769
Nd Sn Au
6 10 12
direct
0.500 0.756 0.500
0.000 0.244 0.000
0.500 0.755 0.813
0.500 0.755 0.187
0.000 0.245 0.687
0.000 0.245 0.313
0.500 0.476 0.643
0.500 0.476 0.357
0.000 0.524 0.857
0.000 0.524 0.143
0.500 0.120 0.837
0.500 0.120 0.163
0.000 0.880 0.663
0.000 0.880 0.337
0.500 0.229 0.500
0.000 0.771 0.000
0.500 0.026 0.643
0.500 0.026 0.357
0.000 0.974 0.857
0.000 0.974 0.143
0.000 0.039 0.500
0.500 0.961 0.000
0.500 0.379 0.841
0.500 0.379 0.159
0.000 0.621 0.659
0.000 0.621 0.341
0.000 0.435 0.500
0.500 0.565 0.000